1.
Ho3Pt4: relaxed, PBE-GGA.

Unit cell a=13.1957 b=13.1957 c=5.7085 alpha=90.00 beta=90.00 gamma=120.00
Space group R-3 (No. 148, hexagonal axes)
Inequivalent atoms, fractional coordinates:
Ho 0.0437 0.8332 0.2370 (multiplicity 18)
Pt 0.0000 0.0000 0.0000 (multiplicity 3)
Pt 0.0000 0.0000 0.5000 (multiplicity 3)
Pt 0.0543 0.7813 0.7201 (multiplicity 18)

ΔH_f (0 K)	-1241	meV per atom
mass density	14.76	g/cm3
E_tot	-6.67	eV per atom


2.
MnAl2S4: relaxed, PBE-GGA.

Unit cell a=3.6665 b=3.6665 c=36.8689 alpha=90.00 beta=90.00 gamma=120.00
Space group R3m (No. 160, hexagonal axes)
Inequivalent atoms, fractional coordinates:
Mn 0.0000 0.0000 0.0000 (multiplicity 3)
Al 0.0000 0.0000 0.5309 (multiplicity 3)
Al 0.0000 0.0000 0.7660 (multiplicity 3)
S 0.0000 0.0000 0.0674 (multiplicity 3)
S 0.0000 0.0000 0.4700 (multiplicity 3)
S 0.0000 0.0000 0.6410 (multiplicity 3)
S 0.0000 0.0000 0.8890 (multiplicity 3)

M_tot	0.657	μB per atom
ΔH_f (0 K)	-1118	meV per atom
energy with MP2020 corrections	-5.861	eV/atom
mass density	2.75	g/cm3
E_tot	-5.57	eV per atom


3.
Rb2LiMoI6: relaxed, PBE-GGA.

Unit cell a=11.6586 b=11.6586 c=11.6586 alpha=90.00 beta=90.00 gamma=90.00
Space group Fm-3m (No. 225)
Inequivalent atoms, fractional coordinates:
Rb 0.2500 0.2500 0.2500 (multiplicity 8)
Li 0.0000 0.0000 0.0000 (multiplicity 4)
Mo 0.0000 0.0000 0.5000 (multiplicity 4)
I 0.0000 0.0000 0.2577 (multiplicity 24)

M_tot	0.300	μB per atom
ΔH_f (0 K)	-1095	meV per atom
energy with MP2020 corrections	-3.481	eV/atom
mass density	4.34	g/cm3
E_tot	-3.25	eV per atom


4.
AlGaCu2S4: relaxed, PBE-GGA.

Unit cell a=5.3609 b=5.3609 c=10.5408 alpha=90.00 beta=90.00 gamma=90.00
Space group I-4 (No. 82)
Inequivalent atoms, fractional coordinates:
Al 0.0000 0.0000 0.0000 (multiplicity 2)
Ga 0.0000 0.5000 0.7500 (multiplicity 2)
Cu 0.0000 0.0000 0.5000 (multiplicity 2)
Cu 0.0000 0.5000 0.2500 (multiplicity 2)
S 0.2469 0.2472 0.8764 (multiplicity 8)

M_tot	0.000	μB per atom
ΔH_f (0 K)	-943	meV per atom
energy with MP2020 corrections	-4.883	eV/atom
mass density	3.86	g/cm3
E_tot	-4.63	eV per atom


Which of these has the highest mass density?
Ho3Pt4


Which of these has the highest ΔH_f (0 K)?
AlGaCu2S4